## ReMo (PBE)

Data for an optimized crystal structure of ReMo.

abc: 3.1323 4.4462 4.4577
angles: 90.00 90.00 90.00
Last column: nearest neighbours and their distance in Å.
Space group Cmmm (No. 65)
One atom of each set of equivalent atoms:
Re 0.0000 0.0000 0.0000 [2 per cell]  4 Re 2.72, 4 Mo 2.72
Mo 0.0000 0.5000 0.5000 [2 per cell]  4 Mo 2.72, 4 Re 2.72

## Properties
Size of the total moment (μB per cell): 0.00
Crystal system: orthorhombic
Formation energy (meV/atom): 105
ρ (g cm⁻³): 15.09